1.
# KFeMo2O8 | the Materials Project database | PBE with a Hubbard U | optimized geometry
data_KFeMo2O8
_chemical_formula_sum 'K2 Fe2 Mo4 O16'
_space_group_name_H-M_alt 'P 1'
_space_group_IT_number 1
_space_group_name_Hall 'P 1'
_cell_length_a 5.758
_cell_length_b 5.758
_cell_length_c 14.816
_cell_angle_alpha 90.00
_cell_angle_beta 90.00
_cell_angle_gamma 120.00
loop_
_atom_site_label
_atom_site_fract_x
_atom_site_fract_y
_atom_site_fract_z
K1 0.000 0.000 0.250
K2 0.000 0.000 0.750
Fe1 0.000 0.000 0.000
Fe2 0.000 0.000 0.500
Mo1 0.333 0.667 0.118
Mo2 0.333 0.667 0.618
Mo3 0.667 0.333 0.382
Mo4 0.667 0.333 0.882
O1 0.134 0.322 0.081
O2 0.134 0.812 0.581
O3 0.188 0.322 0.581
O4 0.188 0.866 0.081
O5 0.322 0.134 0.419
O6 0.322 0.188 0.919
O7 0.333 0.667 0.236
O8 0.333 0.667 0.736
O9 0.667 0.333 0.264
O10 0.667 0.333 0.764
O11 0.678 0.812 0.081
O12 0.678 0.866 0.581
O13 0.812 0.134 0.919
O14 0.812 0.678 0.419
O15 0.866 0.188 0.419
O16 0.866 0.678 0.919
# size of the total moment = 0.0 μB/cell
# energy of formation = -46.3 kcal/mol of atoms

---

2.
# GdCr3B4O12 | the Materials Project database | PBE with a Hubbard U | optimized geometry
data_GdCr3B4O12
_chemical_formula_sum 'Gd1 Cr3 B4 O12'
_space_group_name_H-M_alt 'P 1'
_space_group_IT_number 1
_space_group_name_Hall 'P 1'
_cell_length_a 6.109
_cell_length_b 6.109
_cell_length_c 6.109
_cell_angle_alpha 103.97
_cell_angle_beta 103.97
_cell_angle_gamma 103.97
loop_
_atom_site_label
_atom_site_fract_x
_atom_site_fract_y
_atom_site_fract_z
Gd1 0.000 0.000 0.000
Cr1 0.000 0.448 0.552
Cr2 0.448 0.552 0.000
Cr3 0.552 0.000 0.448
B1 0.053 0.947 0.500
B2 0.500 0.053 0.947
B3 0.500 0.500 0.500
B4 0.947 0.500 0.053
O1 0.028 0.792 0.630
O2 0.091 0.500 0.909
O3 0.208 0.972 0.370
O4 0.356 0.500 0.644
O5 0.370 0.208 0.972
O6 0.500 0.644 0.356
O7 0.500 0.909 0.091
O8 0.630 0.028 0.792
O9 0.644 0.356 0.500
O10 0.792 0.630 0.028
O11 0.909 0.091 0.500
O12 0.972 0.370 0.208
# size of the total moment = 16.0 μB/cell
# energy of formation = -65.4 kcal/mol of atoms

---

3.
# Na2Ni3O7 | the Materials Project database | PBE with a Hubbard U | optimized geometry
data_Na2Ni3O7
_chemical_formula_sum 'Na4 Ni6 O14'
_space_group_name_H-M_alt 'P 1'
_space_group_IT_number 1
_space_group_name_Hall 'P 1'
_cell_length_a 7.053
_cell_length_b 7.089
_cell_length_c 7.091
_cell_angle_alpha 64.19
_cell_angle_beta 64.12
_cell_angle_gamma 64.40
loop_
_atom_site_label
_atom_site_fract_x
_atom_site_fract_y
_atom_site_fract_z
Na1 0.000 0.000 0.000
Na2 0.063 0.669 0.795
Na3 0.288 0.925 0.306
Na4 0.894 0.351 0.268
Ni1 0.153 0.290 0.581
Ni2 0.296 0.570 0.151
Ni3 0.442 0.861 0.721
Ni4 0.579 0.147 0.297
Ni5 0.717 0.433 0.865
Ni6 0.866 0.716 0.438
O1 0.003 0.661 0.163
O2 0.009 0.337 0.860
O3 0.163 0.590 0.445
O4 0.170 0.995 0.666
O5 0.282 0.276 0.291
O6 0.339 0.843 0.014
O7 0.418 0.571 0.855
O8 0.445 0.156 0.595
O9 0.576 0.850 0.426
O10 0.593 0.438 0.160
O11 0.663 0.164 0.007
O12 0.736 0.725 0.730
O13 0.855 0.420 0.574
O14 0.859 0.010 0.338
# size of the total moment = 0.0 μB/cell
# energy of formation = -23.7 kcal/mol of atoms

---

Number 1: uncorrected energy -6.734 eV per atom. Number 2: uncorrected energy -8.580 eV per atom. Number 3: uncorrected energy -4.542 eV per atom.